First-principles (GGA-PBE) data for a relaxed Eu3Th crystal, as listed in the Materials Project database.

Summary:
Energy of formation in eV/f.u.: 0.88
Crystal system: tetragonal

The structure in POSCAR format:
```
Eu3Th
1.0
-2.6774 2.6774 5.3946
2.6774 -2.6774 5.3946
2.6774 2.6774 -5.3946
Eu Th
3 1
direct
0.0000 0.0000 0.0000
0.2500 0.7500 0.5000
0.7500 0.2500 0.5000
0.5000 0.5000 0.0000
```